Entry 1:
VASP calculation (PBE-GGA) on crystalline Ta6TeSe2 at its relaxed geometry.

Geometry as extended XYZ:
```
18
Lattice="2.405 7.253 0.000 -2.405 7.253 0.000 0.000 0.126 10.974" Properties=species:S:1:pos:R:3 pbc="T T T"
Ta 0.000 6.041 2.399
Ta 0.000 1.218 2.353
Ta 0.000 10.897 2.376
Ta 0.000 13.415 8.620
Ta 0.000 8.593 8.575
Ta 0.000 3.736 8.597
Ta 0.000 6.170 10.230
Ta 0.000 1.327 10.168
Ta 0.000 11.009 10.215
Ta 0.000 13.306 0.806
Ta 0.000 8.464 0.744
Ta 0.000 3.624 0.759
Te 0.000 1.315 6.973
Te 0.000 13.318 4.000
Se 0.000 11.018 7.369
Se 0.000 6.147 7.397
Se 0.000 8.487 3.577
Se 0.000 3.615 3.605
```

Space group: C2/m
MP2020-corrected energy in Ha/atom: -0.34944

---

Entry 2:
VASP calculation (PBE-GGA) on crystalline Cs2SiS6O21 at its relaxed geometry.

Geometry as extended XYZ:
```
180
Lattice="-13.332 1.682 -10.664 15.815 -2.102 -6.305 -1.556 -11.907 0.067" Properties=species:S:1:pos:R:3 pbc="T T T"
Cs -9.818 -3.832 -7.416
Cs 0.028 -5.106 -5.218
Cs -3.014 -4.763 -14.915
Cs 10.745 -8.495 -9.486
Cs 0.899 -7.221 -11.684
Cs 3.941 -7.564 -1.987
Cs 5.705 -11.992 -13.053
Cs -0.458 -11.146 -5.931
Cs 8.744 -12.339 -4.105
Cs -4.778 -0.335 -3.849
Cs 1.385 -1.180 -10.971
Cs -7.817 0.012 -12.797
Si -0.325 -2.490 0.014
Si -1.230 -9.416 0.053
Si 5.659 -4.211 -7.739
Si -4.732 -8.115 -9.163
Si -4.054 -2.927 -9.192
Si 4.981 -9.400 -7.710
S 3.919 -2.178 -14.560
S 1.037 -1.734 -2.621
S 12.732 -3.282 -6.066
S -2.992 -10.149 -2.342
S -0.109 -10.593 -14.281
S -11.805 -9.045 -10.836
S 1.914 -4.235 -14.159
S 1.926 -4.165 -1.312
S 12.952 -5.641 -7.738
S -0.987 -8.091 -2.743
S -0.999 -8.162 -15.590
S -12.025 -6.685 -9.164
S -6.941 -6.814 -7.475
S -1.978 -7.465 -7.972
S -4.890 -7.108 -12.059
S 7.868 -5.513 -9.427
S 2.905 -4.861 -8.930
S 5.817 -5.219 -4.843
S 6.658 -3.093 -10.470
S 3.063 -2.605 -7.117
S 7.742 -3.208 -5.651
S -5.731 -9.233 -6.432
S -2.136 -9.722 -9.785
S -6.815 -9.119 -11.251
S -3.886 -3.896 -6.288
S -1.834 -4.190 -10.889
S -6.812 -3.536 -10.384
S 4.814 -8.431 -10.614
S 2.761 -8.137 -6.013
S 7.740 -8.790 -6.518
S 7.492 -11.137 -8.223
S 3.006 -10.560 -9.793
S 3.903 -10.650 -5.091
S -6.565 -1.190 -8.679
S -2.078 -1.767 -7.109
S -2.976 -1.676 -11.811
O 4.996 -3.114 -14.679
O 0.238 -2.430 -3.586
O 12.146 -3.994 -4.970
O -4.069 -9.212 -2.223
O 0.689 -9.896 -13.316
O -11.219 -8.332 -11.932
O 3.202 -1.947 -15.879
O 0.292 -1.485 -1.322
O 14.250 -3.335 -6.049
O -2.275 -10.380 -1.023
O 0.636 -10.842 -15.580
O -13.323 -8.991 -10.853
O 4.126 -0.928 -13.895
O 1.756 -0.557 -3.002
O 12.297 -1.953 -6.372
O -3.198 -11.399 -3.007
O -0.829 -11.770 -13.900
O -11.370 -10.373 -10.530
O 1.535 -3.885 -15.590
O -12.384 -2.040 -10.898
O -1.386 -3.422 -1.085
O -0.607 -8.441 -1.312
O 13.311 -10.286 -6.004
O 2.313 -8.904 -15.817
O 2.820 -5.350 -14.100
O 1.326 -5.088 -2.236
O 12.262 -6.543 -6.857
O -1.892 -6.976 -2.802
O -0.399 -7.238 -14.666
O -11.335 -5.783 -10.045
O 2.715 -2.878 -13.642
O 2.257 -2.754 -2.118
O 12.383 -4.107 -7.473
O -1.788 -9.448 -3.260
O -1.330 -9.573 -14.784
O -11.456 -8.219 -9.429
O -6.256 -7.667 -6.224
O -1.399 -8.319 -9.275
O -6.450 -7.674 -11.993
O 7.183 -4.659 -10.678
O 2.327 -4.007 -7.627
O 7.378 -4.652 -4.909
O -5.846 -6.872 -8.529
O -3.413 -7.189 -8.393
O -4.514 -7.057 -10.585
O 6.773 -5.455 -8.373
O 4.340 -5.137 -8.509
O 5.441 -5.269 -6.317
O -7.028 -5.487 -6.940
O -1.216 -6.253 -8.027
O -5.059 -5.776 -12.560
O 7.955 -6.839 -9.962
O 2.143 -6.074 -8.875
O 5.986 -6.551 -4.342
O 5.853 -3.170 -9.183
O 4.534 -2.986 -7.076
O 7.003 -3.308 -6.976
O -4.926 -9.156 -7.719
O -3.607 -9.340 -9.826
O -6.076 -9.018 -9.926
O -8.134 -7.495 -7.882
O -1.895 -8.305 -6.813
O -4.101 -8.050 -12.796
O 9.061 -4.831 -9.020
O 2.823 -4.022 -10.089
O 5.028 -4.276 -4.106
O 7.805 -2.240 -10.321
O 2.815 -1.576 -8.088
O 7.230 -2.134 -4.845
O -6.878 -10.086 -6.581
O -1.888 -10.751 -8.814
O -6.303 -10.192 -12.057
O 5.805 -2.914 -11.604
O 2.531 -2.454 -5.797
O 9.156 -3.320 -5.838
O -4.877 -9.412 -5.298
O -1.604 -9.872 -11.105
O -8.229 -9.006 -11.064
O 0.751 -4.245 -13.326
O -10.140 -2.811 -11.394
O -3.029 -3.692 -2.846
O 0.176 -8.081 -3.577
O 11.068 -9.516 -5.508
O 3.956 -8.634 -14.056
O -4.191 -4.000 -7.771
O -2.981 -4.170 -9.896
O -5.412 -3.852 -9.892
O 5.119 -8.327 -9.131
O 3.908 -8.156 -7.006
O 6.339 -8.474 -7.010
O 6.083 -10.602 -8.444
O 3.591 -10.276 -8.415
O 4.863 -10.430 -6.253
O -5.156 -1.725 -8.458
O -2.664 -2.051 -8.487
O -3.936 -1.896 -10.649
O -3.598 -5.198 -5.761
O -1.775 -5.468 -11.535
O -7.647 -4.694 -10.244
O 4.526 -7.129 -11.141
O 2.703 -6.858 -5.367
O 8.574 -7.633 -6.658
O -4.792 -3.031 -5.593
O -0.637 -3.600 -10.367
O -6.817 -2.800 -11.612
O 5.719 -9.296 -11.309
O 1.564 -8.726 -6.535
O 7.744 -9.527 -5.290
O -2.383 -3.185 -6.292
O -2.411 -3.214 -12.105
O -7.389 -2.547 -9.178
O 3.310 -9.142 -10.610
O 3.338 -9.113 -4.797
O 8.316 -9.780 -7.724
O 8.116 -11.414 -9.481
O 1.576 -10.561 -9.729
O 4.637 -10.928 -3.893
O -7.189 -0.912 -7.421
O -0.648 -1.766 -7.173
O -3.709 -1.399 -13.009
O 7.546 -12.112 -7.174
O 3.687 -11.626 -10.465
O 2.792 -11.481 -5.451
O -6.619 -0.214 -9.728
O -2.760 -0.700 -6.437
O -1.865 -0.845 -11.451
```

Space group: P-3
MP2020-corrected energy in Ha/atom: -0.23944

---

Entry 3:
VASP calculation (PBE-GGA) on crystalline V5Si3 at its relaxed geometry.

Geometry as extended XYZ:
```
16
Lattice="0.432 7.096 -0.479 -3.635 -3.687 -4.895 -4.021 0.425 2.666" Properties=species:S:1:pos:R:3 pbc="T T T"
V -3.422 2.679 -3.389
V -1.898 -0.799 -0.535
V -2.690 5.673 1.638
V -4.290 0.120 -2.090
V -0.899 1.848 0.549
V -2.934 3.714 -0.619
V -5.759 -2.463 -1.694
V -2.279 -0.092 -3.423
V -3.802 1.156 0.680
V -0.923 3.502 -1.951
Si -4.954 2.382 -1.254
Si -2.845 3.120 1.810
Si -0.744 4.401 0.376
Si -4.451 -1.136 0.067
Si -2.270 1.452 -1.455
Si -3.205 -2.125 -2.296
```

Space group: P6_3/mcm
MP2020-corrected energy in Ha/atom: -0.30192